Material: Al4Bi3Se12
Method: DFT, PBE-GGA
State: optimized geometry

Values from the calculation:
Energy: -4.0219 eV per atom
Magnetization: 0.000 μB/atom
ΔE_f: -709 meV/atom

Lattice parameters (Å, degrees): 7.7392 7.7392 38.7240 90.00 90.00 90.56
Positions (direct):
Al  0.2500  0.2500  0.0067
Al  0.2500  0.2500  0.0865
Al  0.2500  0.2500  0.2554
Al  0.2500  0.2500  0.3354
Al  0.2500  0.2500  0.5067
Al  0.2500  0.2500  0.5865
Al  0.2500  0.2500  0.7554
Al  0.2500  0.2500  0.8354
Al  0.7500  0.7500  0.1646
Al  0.7500  0.7500  0.2446
Al  0.7500  0.7500  0.4135
Al  0.7500  0.7500  0.4933
Al  0.7500  0.7500  0.6646
Al  0.7500  0.7500  0.7446
Al  0.7500  0.7500  0.9135
Al  0.7500  0.7500  0.9933
Bi  0.2500  0.7500  0.2087
Bi  0.2500  0.7500  0.2913
Bi  0.2500  0.7500  0.5425
Bi  0.2500  0.7500  0.6239
Bi  0.2500  0.7500  0.8761
Bi  0.2500  0.7500  0.9575
Bi  0.7500  0.2500  0.0425
Bi  0.7500  0.2500  0.1239
Bi  0.7500  0.2500  0.3761
Bi  0.7500  0.2500  0.4575
Bi  0.7500  0.2500  0.7087
Bi  0.7500  0.2500  0.7913
Se  0.0411  0.4278  0.2229
Se  0.0441  0.0694  0.9731
Se  0.0694  0.0441  0.4731
Se  0.0705  0.0856  0.2936
Se  0.0705  0.4102  0.5450
Se  0.0722  0.4589  0.7229
Se  0.0793  0.0897  0.6257
Se  0.0802  0.4035  0.8753
Se  0.0856  0.0705  0.7936
Se  0.0897  0.0793  0.1257
Se  0.0898  0.4295  0.0450
Se  0.0965  0.4198  0.3753
Se  0.4035  0.0802  0.3753
Se  0.4102  0.0705  0.0450
Se  0.4103  0.4207  0.1257
Se  0.4144  0.4295  0.7936
Se  0.4198  0.0965  0.8753
Se  0.4207  0.4103  0.6257
Se  0.4278  0.0411  0.7229
Se  0.4295  0.0898  0.5450
Se  0.4295  0.4144  0.2936
Se  0.4306  0.4559  0.4731
Se  0.4559  0.4306  0.9731
Se  0.4589  0.0722  0.2229
Se  0.5411  0.9278  0.7771
Se  0.5441  0.5694  0.0269
Se  0.5694  0.5441  0.5269
Se  0.5705  0.5856  0.7064
Se  0.5705  0.9102  0.4550
Se  0.5722  0.9589  0.2771
Se  0.5793  0.5897  0.3743
Se  0.5802  0.9035  0.1247
Se  0.5856  0.5705  0.2064
Se  0.5897  0.5793  0.8743
Se  0.5898  0.9295  0.9550
Se  0.5965  0.9198  0.6247
Se  0.9035  0.5802  0.6247
Se  0.9102  0.5705  0.9550
Se  0.9103  0.9207  0.8743
Se  0.9144  0.9295  0.2064
Se  0.9198  0.5965  0.1247
Se  0.9207  0.9103  0.3743
Se  0.9278  0.5411  0.2771
Se  0.9295  0.5898  0.4550
Se  0.9295  0.9144  0.7064
Se  0.9306  0.9559  0.5269
Se  0.9559  0.9306  0.0269
Se  0.9589  0.5722  0.7771


Material: Nd3Mg
Method: DFT, PBE-GGA
State: optimized geometry

Values from the calculation:
Energy: -3.9770 eV per atom
ΔE_f: -1 meV/atom

Lattice parameters (Å, degrees): 6.2064 6.2064 6.2064 132.38 132.38 69.64
Positions (direct):
Nd  0.0000  0.0000  0.0000
Nd  0.2500  0.7500  0.5000
Nd  0.7500  0.2500  0.5000
Mg  0.5000  0.5000  0.0000


Material: CuC2S2N6
Method: DFT, PBE-GGA
State: optimized geometry

Values from the calculation:
Energy: -5.3262 eV per atom
Magnetization: 0.819 μB/atom
ΔE_f: 1735 meV/atom

Lattice parameters (Å, degrees): 6.5041 6.5041 6.7240 118.61 118.61 73.52
Positions (direct):
Cu  0.0000  0.0000  0.0000
C  0.2629  0.2629  0.9234
C  0.7371  0.7371  0.0766
S  0.2661  0.2661  0.1724
S  0.7339  0.7339  0.8276
N  0.1273  0.7866  0.7574
N  0.2134  0.8727  0.2426
N  0.2660  0.2660  0.7506
N  0.7340  0.7340  0.2494
N  0.7866  0.1273  0.7574
N  0.8727  0.2134  0.2426


Material: Eu3Sc2Al3O12
Method: DFT, PBE-GGA
State: optimized geometry

Values from the calculation:
Energy: -8.7878 eV per atom
Magnetization: 0.900 μB/atom
ΔE_f: -3498 meV/atom

Lattice parameters (Å, degrees): 10.9201 10.9201 10.9201 109.47 109.47 109.47
Positions (direct):
Eu  0.1250  0.2500  0.3750
Eu  0.1250  0.3750  0.7500
Eu  0.2500  0.3750  0.1250
Eu  0.2500  0.8750  0.6250
Eu  0.3750  0.1250  0.2500
Eu  0.3750  0.7500  0.1250
Eu  0.6250  0.2500  0.8750
Eu  0.6250  0.8750  0.7500
Eu  0.7500  0.1250  0.3750
Eu  0.7500  0.6250  0.8750
Eu  0.8750  0.6250  0.2500
Eu  0.8750  0.7500  0.6250
Sc  0.0000  0.0000  0.0000
Sc  0.0000  0.0000  0.5000
Sc  0.0000  0.5000  0.0000
Sc  0.0000  0.5000  0.5000
Sc  0.5000  0.0000  0.0000
Sc  0.5000  0.0000  0.5000
Sc  0.5000  0.5000  0.0000
Sc  0.5000  0.5000  0.5000
Al  0.1250  0.7500  0.8750
Al  0.1250  0.8750  0.2500
Al  0.2500  0.1250  0.8750
Al  0.2500  0.6250  0.3750
Al  0.3750  0.2500  0.6250
Al  0.3750  0.6250  0.7500
Al  0.6250  0.3750  0.2500
Al  0.6250  0.7500  0.3750
Al  0.7500  0.3750  0.6250
Al  0.7500  0.8750  0.1250
Al  0.8750  0.1250  0.7500
Al  0.8750  0.2500  0.1250
O  0.0206  0.2090  0.1240
O  0.0206  0.3116  0.8966
O  0.0850  0.7090  0.6884
O  0.0850  0.8760  0.3966
O  0.1034  0.6240  0.4150
O  0.1034  0.9794  0.6884
O  0.1240  0.0206  0.2090
O  0.1240  0.6034  0.9150
O  0.1884  0.2090  0.5850
O  0.1884  0.4794  0.6034
O  0.2090  0.1240  0.0206
O  0.2090  0.5850  0.1884
O  0.2910  0.3116  0.9150
O  0.2910  0.4794  0.3760
O  0.3116  0.8966  0.0206
O  0.3116  0.9150  0.2910
O  0.3760  0.2910  0.4794
O  0.3760  0.5850  0.8966
O  0.3966  0.0850  0.8760
O  0.3966  0.8116  0.5206
O  0.4150  0.1034  0.6240
O  0.4150  0.8116  0.7910
O  0.4794  0.3760  0.2910
O  0.4794  0.6034  0.1884
O  0.5206  0.3966  0.8116
O  0.5206  0.6240  0.7090
O  0.5850  0.1884  0.2090
O  0.5850  0.8966  0.3760
O  0.6034  0.1884  0.4794
O  0.6034  0.9150  0.1240
O  0.6240  0.4150  0.1034
O  0.6240  0.7090  0.5206
O  0.6884  0.0850  0.7090
O  0.6884  0.1034  0.9794
O  0.7090  0.5206  0.6240
O  0.7090  0.6884  0.0850
O  0.7910  0.4150  0.8116
O  0.7910  0.8760  0.9794
O  0.8116  0.5206  0.3966
O  0.8116  0.7910  0.4150
O  0.8760  0.3966  0.0850
O  0.8760  0.9794  0.7910
O  0.8966  0.0206  0.3116
O  0.8966  0.3760  0.5850
O  0.9150  0.1240  0.6034
O  0.9150  0.2910  0.3116
O  0.9794  0.6884  0.1034
O  0.9794  0.7910  0.8760